Record 1
VASP calculation (PBE+U) on MnOF after structural relaxation.

Cell and atoms, written as POSCAR:
```
MnOF
1.0
4.6897 -6.2689 0.0000
4.6897 6.2689 0.0000
-0.0073 0.0000 4.6915
Mn O F
8 8 8
Cartesian
0.0000 0.0000 0.0000
2.2496 1.6692 2.0978
4.7201 3.1460 4.3059
2.2496 -1.6692 2.0978
4.4984 0.0000 4.1705
6.9107 1.4688 2.1144
4.7201 -3.1460 4.3059
6.9107 -1.4688 2.1144
5.5942 4.6701 0.6517
3.6868 1.6497 3.4575
6.1125 3.0424 2.9376
3.6868 -1.6497 3.4575
5.9668 0.0000 3.0241
7.8004 0.0000 1.2661
6.1125 -3.0424 2.9376
5.5942 -4.6701 0.6517
3.7324 4.8534 3.5514
3.2590 3.2904 1.0651
1.3428 0.0000 3.0128
3.1845 0.0000 1.1303
5.4775 1.4665 0.6335
3.2590 -3.2904 1.0651
5.4775 -1.4665 0.6335
3.7324 -4.8534 3.5514
```

The total DFT energy (no corrections) comes out at -0.24713 hartree per atom. Its magnetization is 4.000 μB/f.u. Its crystal system is monoclinic.

---

Record 2
VASP calculation (PBE+U) on Nd2CoO4 after structural relaxation.

Cell and atoms, written as POSCAR:
```
Nd2CoO4
1.0
3.8636 0.0000 0.0000
0.0000 3.8636 0.0000
0.0000 0.0000 12.5300
Nd Co O
4 2 8
Cartesian
0.0000 0.0000 1.7161
0.0000 0.0000 10.8139
1.9318 1.9318 4.5489
1.9318 1.9318 7.9811
0.0000 0.0000 6.2650
1.9318 1.9318 0.0000
0.0000 0.0000 3.9950
0.0000 0.0000 8.5351
0.0000 1.9318 0.0000
0.0000 1.9318 6.2650
1.9318 0.0000 0.0000
1.9318 0.0000 6.2650
1.9318 1.9318 2.2701
1.9318 1.9318 10.2600
```

The total DFT energy (no corrections) comes out at -0.27621 hartree per atom. Its magnetization is 2.990 μB/f.u. Its crystal system is tetragonal.

---

Record 3
VASP calculation (PBE+U) on Li3V3P8O29 after structural relaxation.

Cell and atoms, written as POSCAR:
```
Li3V3P8O29
1.0
9.7033 0.0000 0.0000
4.8402 8.4735 0.0000
0.0186 0.1725 14.3555
Li V P O
6 6 16 58
Cartesian
0.0000 0.0000 0.0000
0.3837 0.3431 6.8540
4.5657 6.0674 7.8803
7.9179 8.1310 13.5096
9.4154 3.1637 13.4555
10.7759 3.1375 6.1761
3.1019 5.1934 10.7820
2.5353 3.9983 3.4139
7.3622 5.0931 3.5117
4.6815 0.3926 10.5986
7.9531 4.0838 10.6292
5.8438 0.2898 3.5849
2.3013 2.2433 11.8901
4.5788 6.1351 4.8300
2.8645 1.0355 4.7833
5.9304 6.2760 11.9946
7.1375 6.9851 9.3681
7.8055 8.0364 2.1924
5.2060 3.2479 9.0158
5.2832 3.0856 1.8418
10.0382 6.0499 12.3537
10.1057 5.9151 5.1849
7.5675 1.1110 11.9855
8.2156 2.1525 4.7393
9.4147 2.9315 2.1407
12.4593 8.1408 9.3554
13.0269 6.9477 2.2653
10.7798 3.0703 9.3190
1.3308 2.2107 13.0121
4.1964 7.0846 1.0912
4.1974 7.1166 3.6224
1.5281 2.0494 10.4783
4.3250 6.8191 6.1289
2.4738 2.5488 4.7038
3.7845 4.8297 4.5973
3.0660 3.6093 11.7627
4.4118 5.9342 11.8840
4.5082 4.5150 9.6093
2.1959 0.4063 5.9426
3.8147 3.1314 2.4637
2.3021 0.3973 3.3952
6.2259 7.1628 10.6815
6.2426 7.0741 8.1858
6.2676 7.1035 13.1808
2.5168 0.1027 0.8823
3.3260 1.0803 11.9253
6.0897 5.8179 4.6591
5.2317 3.2594 7.5381
4.5157 1.9784 9.6713
5.2717 3.0569 0.3683
5.9957 4.3170 2.4969
7.3140 6.5686 2.3785
8.1971 8.1178 9.4797
4.4153 0.9200 4.6833
6.7195 4.9558 11.8018
7.8810 5.6217 9.5483
9.3357 8.0683 2.4284
6.6449 3.2278 9.6831
5.9214 1.8448 2.5541
9.3237 7.3023 11.7364
8.6793 5.9126 4.5126
6.0180 1.0371 11.7644
7.5168 3.5253 4.6397
8.6392 4.2482 2.3509
10.8846 8.1870 9.5443
7.9999 2.6127 11.8873
7.1463 1.0258 4.7354
10.0246 6.0237 13.8357
9.3743 4.7664 11.7418
10.7982 7.1839 4.5681
10.0864 5.8536 6.6637
11.9504 8.0546 2.3794
9.2571 3.3161 9.5679
8.1196 0.4832 13.1990
9.0135 1.9434 3.3362
9.1961 2.2416 0.8417
8.1838 0.4001 10.6728
8.1728 0.2801 8.1342
9.2023 1.9949 5.8481
11.5054 6.0532 11.7295
10.8296 4.6598 4.5753
11.5310 4.3924 9.6156
10.9332 3.2387 2.3497
12.8933 6.6470 9.4958
12.3160 5.5554 2.3855
11.0264 2.4666 7.9887
```

The total DFT energy (no corrections) comes out at -0.25934 hartree per atom. Its magnetization is 0.001 μB/f.u. Its crystal system is triclinic.

---

Record 4
VASP calculation (PBE+U) on Nd2Cr2O5 after structural relaxation.

Cell and atoms, written as POSCAR:
```
Nd2Cr2O5
1.0
3.9384 0.0000 0.0000
0.0000 3.9384 0.0000
0.0000 0.0000 7.2748
Nd Cr O
2 2 5
Cartesian
0.0000 0.0000 0.0000
0.0000 0.0000 3.6374
1.9692 1.9692 1.6236
1.9692 1.9692 5.6512
0.0000 1.9692 1.6999
0.0000 1.9692 5.5748
1.9692 0.0000 1.6999
1.9692 0.0000 5.5748
1.9692 1.9692 3.6374
```

The total DFT energy (no corrections) comes out at -0.29003 hartree per atom. Its magnetization is 6.046 μB/f.u. Its crystal system is tetragonal.

---

Record 5
VASP calculation (PBE+U) on MgMn2O4 after structural relaxation.

Cell and atoms, written as POSCAR:
```
MgMn2O4
1.0
5.7197 0.0000 0.0000
0.0000 10.8634 0.0000
-2.7778 0.0000 5.0450
Mg Mn O
4 8 16
Cartesian
0.8034 1.2335 0.2159
-0.5855 4.1982 2.7384
3.5274 6.6652 2.3066
2.1385 9.6299 4.8291
0.6809 6.7484 0.0305
-0.7080 9.5466 2.5530
0.8060 1.5523 3.0013
2.1949 3.8794 0.4788
0.7470 6.9840 4.5663
2.1359 9.3111 2.0437
3.6499 1.3167 2.4920
2.2610 4.1149 5.0145
-0.5368 2.2661 1.7104
-1.9257 3.1656 4.2329
-0.7627 6.0264 3.7528
0.6262 10.2687 1.2303
-0.7312 0.5734 3.7025
0.6577 4.8583 1.1800
2.2139 7.5096 0.9172
0.8250 8.7854 3.4397
2.1169 2.0780 1.6054
0.7280 3.3537 4.1279
2.2842 6.0051 3.8650
3.6731 10.2900 1.3425
2.3157 0.5947 3.8147
3.7046 4.8370 1.2922
4.8676 7.6978 0.8121
3.4787 8.5973 3.3346
```

The total DFT energy (no corrections) comes out at -0.26036 hartree per atom. Its magnetization is 7.999 μB/f.u. Its crystal system is monoclinic.

---

Record 6
VASP calculation (PBE+U) on VH24C8S2N2O9 after structural relaxation.

Cell and atoms, written as POSCAR:
```
VH24C8S2N2O9
1.0
13.3620 0.0000 0.0000
0.0000 9.3993 0.0000
-12.0649 0.0000 14.4473
V H C S N O
4 96 32 8 8 36
Cartesian
2.0558 0.5596 0.8478
-3.9767 4.1400 8.0714
5.2738 5.2593 6.3759
-0.7587 8.8397 13.5995
-3.6875 0.0293 5.5931
-9.7200 4.6704 12.8167
-3.9053 1.7580 6.0027
-9.9377 2.9417 13.2263
-2.7796 1.2973 4.6824
-8.8120 3.4024 11.9060
-7.0314 6.1432 10.0211
-8.1306 6.6834 11.3394
-2.0981 7.4156 4.1158
-0.9990 7.9558 2.7974
-2.4088 5.0396 4.5710
-8.4412 9.0594 11.7947
0.2688 6.2100 1.5082
-5.7636 7.8890 8.7319
-5.9565 0.2107 9.2074
0.0760 4.4890 1.9838
-7.3889 0.8582 10.9554
-1.3564 3.8414 3.7318
-6.3499 6.8202 11.5416
-0.3174 7.2787 4.3180
-0.6487 5.0118 4.9021
-6.6811 9.0871 12.1258
0.9193 5.6358 3.0838
-5.1131 8.4631 10.3074
-1.8439 6.9757 7.2658
4.1885 7.1232 0.0422
-7.3314 5.4360 14.2228
-1.2990 8.6630 6.9992
2.9614 6.4465 1.9577
-3.0710 7.6524 9.1813
1.1902 0.2910 4.0884
-4.8423 4.4086 11.3120
0.2595 0.8184 5.5323
-5.7730 3.8812 12.7559
-4.1807 2.1125 10.9482
1.8517 2.5871 3.7245
3.4889 4.7331 1.7834
-2.5436 9.3659 9.0071
-5.0932 1.6069 12.4109
0.9392 3.0928 5.1873
-6.1184 6.7592 14.3472
-0.0859 7.3397 7.1236
-4.5449 5.1896 12.9035
1.4876 8.9093 5.6799
-1.3752 5.8847 9.4185
4.6572 8.2142 2.1948
3.7605 5.6077 3.3296
-2.2720 8.4912 10.5533
3.5691 0.9081 3.8940
-2.4634 3.7916 11.1177
-3.3601 1.1851 12.2525
2.6723 3.5146 5.0288
-0.1905 0.4900 8.7674
5.8420 4.2097 1.5438
1.3830 2.0595 7.3237
7.4155 2.6401 0.1000
0.3579 6.3065 9.2600
6.3903 7.7924 2.0363
3.8407 0.0334 5.4402
-2.1918 4.6662 12.6639
-0.5546 6.8122 10.7227
5.4778 7.2868 3.4991
7.0701 5.5181 1.6914
1.0376 8.5809 8.9150
6.1394 4.9907 3.1352
0.1069 9.1083 10.3589
4.3681 1.7469 5.2659
-1.6643 2.9528 12.4896
2.5961 0.7363 7.4481
8.6285 3.9633 0.2245
-2.8914 2.2760 14.4051
3.1410 2.4236 7.1815
6.4102 0.9362 4.1399
0.3778 3.7635 11.3635
7.9782 0.3122 2.3215
1.9458 4.3874 9.5451
1.6145 2.1206 10.1293
7.6470 2.5791 2.9056
2.6535 5.5579 10.7155
8.6860 8.5411 3.4919
1.2211 4.9103 12.4635
7.2536 9.1886 5.2398
7.0607 1.5103 5.7154
1.0283 3.1893 12.9390
9.7383 0.3399 2.6526
3.7059 4.3597 9.8763
2.2961 1.4435 11.6498
3.3952 1.9837 10.3315
9.4277 2.7159 3.1079
8.3285 3.2561 4.4262
10.1091 5.9969 2.5412
4.0767 8.1020 9.7649
11.2348 6.4576 1.2209
5.2024 7.6413 8.4446
11.0171 4.7289 1.6305
4.9846 9.3700 8.8542
-3.7169 1.0489 5.1912
-9.7493 3.6508 12.4149
-7.1792 6.8693 10.8274
-1.1467 7.2296 3.6038
-1.4196 4.8572 4.1401
-7.4520 9.2418 11.3637
0.1161 5.5224 2.3475
-5.9164 8.5765 9.5711
4.9762 6.3926 0.2517
-1.0563 7.7063 7.4754
1.2221 0.4432 5.1721
-4.8103 4.2565 12.3957
3.7154 5.7035 2.2397
-2.3170 8.3954 9.4633
-4.1229 1.9356 12.0274
1.9096 2.7641 4.8038
-0.6125 6.6352 9.6435
5.4200 7.4637 2.4198
3.6141 1.0039 4.9840
-2.4183 3.6958 12.2076
6.1074 5.1428 2.0516
0.0750 8.9561 9.2752
2.3534 1.6930 6.9719
-3.6791 3.0067 14.1956
7.2135 0.8228 4.8762
1.1810 3.8769 12.0998
8.7491 0.1575 3.0836
2.7167 4.5421 10.3072
2.4438 2.1697 10.8435
8.4763 2.5300 3.6199
11.0464 5.7485 2.0324
5.0140 8.3504 9.2560
-0.9792 1.5207 1.4003
-7.0117 3.1790 8.6239
4.4809 1.6922 0.7649
-1.5516 3.0075 7.9885
2.8487 6.3918 6.4587
-3.1838 7.7071 13.6824
8.3088 6.2203 5.8234
2.2763 7.8786 13.0470
-1.1892 5.8410 3.0260
-7.2217 8.2579 10.2497
5.0547 6.1728 1.7393
-0.9777 7.9261 8.9629
2.2748 1.4732 5.4844
-3.7576 3.2265 12.7080
8.5188 1.1414 4.1976
2.4863 3.5583 11.4212
-4.7247 4.8250 6.3584
-10.7572 9.2739 13.5820
-10.2782 6.8564 13.7141
-4.2458 7.2425 6.4905
-1.1296 1.4846 2.8513
-7.1620 3.2150 10.0750
0.4879 1.7816 1.0476
-5.5445 2.9180 8.2712
-4.0847 5.2621 9.2470
1.9477 8.8368 2.0234
3.9339 0.4327 0.0583
-2.0985 4.2669 7.2819
3.1715 2.1293 1.4748
-2.8609 2.5703 8.6984
-1.1484 2.0002 7.0141
-7.1808 2.6995 14.2378
1.8094 6.0617 5.4885
-4.2230 8.0373 12.7122
5.5201 1.3620 1.7351
-0.5123 3.3376 8.9587
8.4779 6.6998 0.2095
2.4455 7.3991 7.4332
4.1580 6.8290 5.7488
-1.8744 7.2700 12.9725
3.3956 5.1324 7.1653
-2.6368 8.9666 14.3890
-0.6506 0.5625 12.4239
5.3818 4.1372 5.2003
6.8416 6.4813 6.1761
0.8092 7.6177 13.3997
8.4591 6.1843 4.3723
2.4267 7.9147 11.5959
5.5429 2.1568 7.9568
11.5753 2.5429 0.7332
12.0543 0.1254 0.8653
6.0218 4.5743 8.0889
```

The total DFT energy (no corrections) comes out at -0.20553 hartree per atom. Its magnetization is 0.988 μB/f.u. Its crystal system is monoclinic.

---

What did the fourth record say?
VASP calculation (PBE+U) on Nd2Cr2O5 after structural relaxation.

Cell and atoms, written as POSCAR:
```
Nd2Cr2O5
1.0
3.9384 0.0000 0.0000
0.0000 3.9384 0.0000
0.0000 0.0000 7.2748
Nd Cr O
2 2 5
Cartesian
0.0000 0.0000 0.0000
0.0000 0.0000 3.6374
1.9692 1.9692 1.6236
1.9692 1.9692 5.6512
0.0000 1.9692 1.6999
0.0000 1.9692 5.5748
1.9692 0.0000 1.6999
1.9692 0.0000 5.5748
1.9692 1.9692 3.6374
```

The total DFT energy (no corrections) comes out at -0.29003 hartree per atom. Its magnetization is 6.046 μB/f.u. Its crystal system is tetragonal.